1.
{"formula": "KLuMo2O8", "functional": "GGA+U", "state": "optimized geometry", "lattice": [[5.997, 0.000, 0.000], [-2.998, 5.193, 0.000], [0.000, 0.000, 7.917]], "species": ["K", "Lu", "Mo", "Mo", "O", "O", "O", "O", "O", "O", "O", "O"], "frac_coords": [[0.000, 0.000, 0.000], [0.000, 0.000, 0.500], [0.333, 0.667, 0.261], [0.667, 0.333, 0.739], [0.168, 0.336, 0.334], [0.168, 0.832, 0.334], [0.333, 0.667, 0.040], [0.336, 0.168, 0.666], [0.664, 0.832, 0.334], [0.667, 0.333, 0.960], [0.832, 0.168, 0.666], [0.832, 0.664, 0.666]], "formation_enthalpy_0k_ev_per_fu": -30.81, "magmom_total_mub_per_fu": 0.005, "e_tot_ev_per_cell": -85.82, "sg": "P-3m1"}



2.
{"formula": "Li2Mn2P4H3O16", "functional": "GGA+U", "state": "optimized geometry", "lattice": [[4.864, 0.000, 0.000], [-1.844, 7.158, 0.000], [-0.024, -0.320, 8.212]], "species": ["Li", "Li", "Mn", "Mn", "P", "P", "P", "P", "H", "H", "H", "O", "O", "O", "O", "O", "O", "O", "O", "O", "O", "O", "O", "O", "O", "O", "O"], "frac_coords": [[0.000, 0.000, 0.000], [0.195, 0.294, 0.727], [0.107, 0.152, 0.363], [0.602, 0.649, 0.859], [0.229, 0.903, 0.712], [0.483, 0.889, 0.205], [0.723, 0.417, 0.519], [0.983, 0.401, 0.011], [0.038, 0.654, 0.405], [0.284, 0.576, 0.239], [0.566, 0.133, 0.861], [0.098, 0.384, 0.182], [0.154, 0.962, 0.548], [0.230, 0.494, 0.894], [0.259, 0.006, 0.188], [0.344, 0.707, 0.298], [0.355, 0.091, 0.820], [0.444, 0.781, 0.698], [0.475, 0.308, 0.413], [0.580, 0.839, 0.033], [0.614, 0.452, 0.693], [0.737, 0.004, 0.303], [0.768, 0.525, 0.022], [0.839, 0.611, 0.444], [0.856, 0.208, 0.926], [0.954, 0.306, 0.534], [0.973, 0.810, 0.820]], "formation_enthalpy_0k_ev_per_fu": -61.60, "magmom_total_mub_per_fu": 7.001, "polymorph_energy_ev_per_atom": 0.000, "e_tot_ev_per_cell": -180.41, "sg": "P1"}



3.
{"formula": "Li9Mn2Co5O16", "functional": "GGA+U", "state": "optimized geometry", "lattice": [[5.883, 0.000, 0.000], [1.467, 6.366, 0.000], [1.285, -0.199, 7.667]], "species": ["Li", "Li", "Li", "Li", "Li", "Li", "Li", "Li", "Li", "Mn", "Mn", "Co", "Co", "Co", "Co", "Co", "O", "O", "O", "O", "O", "O", "O", "O", "O", "O", "O", "O", "O", "O", "O", "O"], "frac_coords": [[0.000, 0.000, 0.000], [0.117, 0.875, 0.634], [0.121, 0.367, 0.121], [0.357, 0.632, 0.882], [0.377, 0.124, 0.372], [0.623, 0.876, 0.628], [0.643, 0.368, 0.118], [0.879, 0.633, 0.879], [0.883, 0.125, 0.366], [0.000, 0.500, 0.500], [0.500, 0.000, 0.000], [0.243, 0.247, 0.756], [0.245, 0.754, 0.241], [0.500, 0.500, 0.500], [0.755, 0.246, 0.759], [0.757, 0.753, 0.244], [0.054, 0.205, 0.564], [0.066, 0.688, 0.079], [0.173, 0.552, 0.682], [0.214, 0.051, 0.176], [0.300, 0.447, 0.338], [0.318, 0.955, 0.819], [0.443, 0.296, 0.939], [0.447, 0.785, 0.425], [0.553, 0.215, 0.575], [0.557, 0.704, 0.061], [0.682, 0.045, 0.181], [0.700, 0.553, 0.662], [0.786, 0.949, 0.824], [0.827, 0.448, 0.318], [0.934, 0.312, 0.921], [0.946, 0.795, 0.436]], "formation_enthalpy_0k_ev_per_fu": -54.51, "magmom_total_mub_per_fu": 1.138, "polymorph_energy_ev_per_atom": 0.161, "e_tot_ev_per_cell": -182.21, "sg": "P-1"}



4.
{"formula": "SrZnCrP2O8", "functional": "GGA+U", "state": "optimized geometry", "lattice": [[5.610, 0.000, 0.000], [-1.064, 6.877, 0.000], [-2.059, -3.477, 8.486]], "species": ["Sr", "Sr", "Zn", "Zn", "Cr", "Cr", "P", "P", "P", "P", "O", "O", "O", "O", "O", "O", "O", "O", "O", "O", "O", "O", "O", "O", "O", "O"], "frac_coords": [[0.247, 0.200, 0.447], [0.753, 0.800, 0.553], [0.496, 0.380, 0.141], [0.504, 0.620, 0.859], [0.136, 0.840, 0.047], [0.864, 0.160, 0.953], [0.110, 0.579, 0.268], [0.335, 0.020, 0.796], [0.665, 0.980, 0.204], [0.890, 0.421, 0.732], [0.118, 0.925, 0.851], [0.142, 0.418, 0.111], [0.159, 0.798, 0.258], [0.161, 0.479, 0.717], [0.234, 0.996, 0.626], [0.309, 0.564, 0.403], [0.448, 0.103, 0.188], [0.462, 0.253, 0.911], [0.538, 0.747, 0.089], [0.552, 0.897, 0.812], [0.691, 0.436, 0.597], [0.766, 0.004, 0.374], [0.839, 0.521, 0.283], [0.841, 0.202, 0.742], [0.858, 0.582, 0.889], [0.882, 0.075, 0.149]], "formation_enthalpy_0k_ev_per_fu": -35.30, "magmom_total_mub_per_fu": 4.000, "polymorph_energy_ev_per_atom": 0.000, "e_tot_ev_per_cell": -181.63, "sg": "P-1"}



5.
{"formula": "FeCu2SbO6", "functional": "GGA+U", "state": "optimized geometry", "lattice": [[-4.832, 4.854, 4.859], [4.832, -4.854, 4.859], [4.832, 4.854, -4.859]], "species": ["Fe", "Fe", "Fe", "Fe", "Cu", "Cu", "Cu", "Cu", "Cu", "Cu", "Cu", "Cu", "Sb", "Sb", "Sb", "Sb", "O", "O", "O", "O", "O", "O", "O", "O", "O", "O", "O", "O", "O", "O", "O", "O", "O", "O", "O", "O", "O", "O", "O", "O"], "frac_coords": [[0.039, 0.250, 0.289], [0.461, 0.750, 0.211], [0.539, 0.250, 0.789], [0.961, 0.750, 0.711], [0.221, 0.471, 0.750], [0.250, 0.223, 0.973], [0.250, 0.723, 0.473], [0.279, 0.029, 0.250], [0.721, 0.971, 0.750], [0.750, 0.277, 0.527], [0.750, 0.777, 0.027], [0.779, 0.529, 0.250], [0.000, 0.000, 0.500], [0.000, 0.500, 0.000], [0.500, 0.000, 0.000], [0.500, 0.500, 0.500], [0.029, 0.456, 0.227], [0.037, 0.766, 0.487], [0.068, 0.020, 0.297], [0.222, 0.450, 0.987], [0.223, 0.771, 0.203], [0.228, 0.956, 0.927], [0.272, 0.199, 0.727], [0.277, 0.480, 0.548], [0.278, 0.266, 0.229], [0.432, 0.729, 0.952], [0.463, 0.950, 0.729], [0.471, 0.699, 0.427], [0.529, 0.301, 0.573], [0.537, 0.050, 0.271], [0.568, 0.271, 0.048], [0.722, 0.734, 0.771], [0.723, 0.520, 0.452], [0.728, 0.801, 0.273], [0.772, 0.044, 0.073], [0.777, 0.229, 0.797], [0.778, 0.550, 0.013], [0.932, 0.980, 0.703], [0.963, 0.234, 0.513], [0.971, 0.544, 0.773]], "formation_enthalpy_0k_ev_per_fu": -14.13, "magmom_total_mub_per_fu": 5.000, "e_tot_ev_per_cell": -232.93, "sg": "Ibca"}



6.
{"formula": "K2MoC2O9", "functional": "GGA+U", "state": "optimized geometry", "lattice": [[7.192, 0.000, 0.000], [0.000, 9.015, 0.000], [-6.696, 0.000, 13.968]], "species": ["K", "K", "K", "K", "K", "K", "K", "K", "Mo", "Mo", "Mo", "Mo", "C", "C", "C", "C", "C", "C", "C", "C", "O", "O", "O", "O", "O", "O", "O", "O", "O", "O", "O", "O", "O", "O", "O", "O", "O", "O", "O", "O", "O", "O", "O", "O", "O", "O", "O", "O", "O", "O", "O", "O", "O", "O", "O", "O"], "frac_coords": [[0.014, 0.071, 0.273], [0.014, 0.429, 0.773], [0.287, 0.151, 0.024], [0.287, 0.349, 0.524], [0.713, 0.651, 0.476], [0.713, 0.849, 0.976], [0.986, 0.571, 0.227], [0.986, 0.929, 0.727], [0.408, 0.701, 0.668], [0.408, 0.799, 0.168], [0.592, 0.201, 0.832], [0.592, 0.299, 0.332], [0.204, 0.714, 0.955], [0.204, 0.786, 0.455], [0.252, 0.569, 0.015], [0.252, 0.931, 0.515], [0.748, 0.069, 0.485], [0.748, 0.431, 0.985], [0.796, 0.214, 0.545], [0.796, 0.286, 0.045], [0.109, 0.677, 0.637], [0.109, 0.823, 0.137], [0.113, 0.706, 0.866], [0.113, 0.794, 0.366], [0.214, 0.055, 0.476], [0.214, 0.445, 0.976], [0.225, 0.537, 0.665], [0.225, 0.963, 0.165], [0.267, 0.667, 0.505], [0.267, 0.833, 0.005], [0.335, 0.588, 0.108], [0.335, 0.912, 0.608], [0.341, 0.208, 0.856], [0.341, 0.292, 0.356], [0.384, 0.058, 0.831], [0.384, 0.442, 0.331], [0.495, 0.235, 0.216], [0.495, 0.265, 0.716], [0.505, 0.735, 0.284], [0.505, 0.765, 0.784], [0.616, 0.558, 0.669], [0.616, 0.942, 0.169], [0.659, 0.708, 0.644], [0.659, 0.792, 0.144], [0.665, 0.088, 0.392], [0.665, 0.412, 0.892], [0.733, 0.167, 0.995], [0.733, 0.333, 0.495], [0.775, 0.037, 0.835], [0.775, 0.463, 0.335], [0.786, 0.555, 0.024], [0.786, 0.945, 0.524], [0.887, 0.206, 0.634], [0.887, 0.294, 0.134], [0.891, 0.177, 0.863], [0.891, 0.323, 0.363]], "formation_enthalpy_0k_ev_per_fu": -19.02, "magmom_total_mub_per_fu": 0.000, "e_tot_ev_per_cell": -361.71, "sg": "P2_1/c"}



What is the formula in the fourth record? SrZnCrP2O8